No. 1
The following is a GGA-PBE calculation of a relaxed structure of LiAl2H4Pb2O4F6, from the Materials Project database.

Results
Raw total energy: -101.82 eV per cell
Space group: No. 1
ΔE to the lowest computed polymorph: 32.6 meV/atom
Density: 4.65 g cm⁻³
Energy relative to the elements: -2404 meV/atom

Cell lengths 7.0667, 7.5179, 4.9677 Å; angles 92.77, 110.67, 105.72 degrees
Fractional coordinates of all 19 atoms:
1 Li 0.5690 0.3148 0.2016
2 Al 0.2110 0.6567 0.1795
3 Al 0.8304 0.3435 0.8119
4 H 0.1726 0.4719 0.7133
5 H 0.8757 0.5471 0.2909
6 H 0.1771 0.8644 0.8013
7 H 0.8093 0.1398 0.1735
8 Pb 0.7221 0.7905 0.7717
9 Pb 0.2159 0.1285 0.3498
10 O 0.1144 0.4561 0.8672
11 O 0.9118 0.5552 0.1177
12 O 0.1168 0.8402 0.9514
13 O 0.8709 0.1463 0.0231
14 F 0.2851 0.8279 0.5087
15 F 0.7368 0.1803 0.4707
16 F 0.2797 0.4971 0.4478
17 F 0.7417 0.5043 0.5334
18 F 0.4838 0.7356 0.1944
19 F 0.5632 0.2867 0.8297

No. 2
The following is a GGA-PBE calculation of a relaxed structure of LiAl2H4Pb2O4F6, from the Materials Project database.

Results
Raw total energy: -102.28 eV per cell
Space group: No. 1
ΔE to the lowest computed polymorph: 8.7 meV/atom
Density: 4.65 g cm⁻³
Energy relative to the elements: -2428 meV/atom

Cell lengths 6.1153, 7.2811, 5.7509 Å; angles 88.71, 101.26, 110.52 degrees
Fractional coordinates of all 19 atoms:
1 Li 0.0995 0.6423 0.5924
2 Al 0.1890 0.6710 0.1160
3 Al 0.8053 0.3255 0.8319
4 H 0.2557 0.4004 0.8886
5 H 0.7619 0.5021 0.1859
6 H 0.2544 0.9715 0.8726
7 H 0.7550 0.1043 0.1700
8 Pb 0.7346 0.8321 0.8029
9 Pb 0.2532 0.1935 0.3697
10 O 0.1473 0.4737 0.8761
11 O 0.8452 0.5357 0.0534
12 O 0.1346 0.8388 0.8697
13 O 0.8637 0.1384 0.0583
14 F 0.1656 0.8319 0.3440
15 F 0.7864 0.1488 0.6023
16 F 0.2281 0.5222 0.3733
17 F 0.7691 0.4960 0.5915
18 F 0.5067 0.7788 0.1427
19 F 0.4863 0.2225 0.8212

No. 3
The following is a GGA-PBE calculation of a relaxed structure of LiAl2H4Pb2O4F6, from the Materials Project database.

Results
Raw total energy: -102.00 eV per cell
Space group: No. 1
ΔE to the lowest computed polymorph: 23.3 meV/atom
Density: 4.86 g cm⁻³
Energy relative to the elements: -2413 meV/atom

Cell lengths 6.4487, 7.2010, 5.3018 Å; angles 95.30, 104.71, 106.51 degrees
Fractional coordinates of all 19 atoms:
1 Li 0.2017 0.0534 0.7009
2 Al 0.1714 0.7082 0.1408
3 Al 0.8326 0.3206 0.8382
4 H 0.2090 0.4744 0.7729
5 H 0.8127 0.5128 0.2460
6 H 0.0410 0.7258 0.6848
7 H 0.8543 0.1663 0.2670
8 Pb 0.6900 0.8337 0.8345
9 Pb 0.3186 0.2703 0.2847
10 O 0.1483 0.4704 0.9252
11 O 0.8463 0.5452 0.0814
12 O 0.0729 0.8220 0.8442
13 O 0.8953 0.1617 0.1006
14 F 0.1454 0.9143 0.3458
15 F 0.8869 0.1313 0.6202
16 F 0.2550 0.6129 0.4443
17 F 0.7595 0.4469 0.5583
18 F 0.4697 0.8189 0.1662
19 F 0.5354 0.1683 0.7564